[1]
# LiTe3

A relaxed LiTe3 crystal (PBE-GGA, the Materials Project database).

Cell lengths 6.1825, 6.1825, 7.7038 Å; angles 90.00, 90.00, 120.00 degrees
Closest atoms and distances in Å follow each position.
Space group P6_3/mmc (No. 194)
Symmetry-distinct sites (fractional):
Li (0.3333, 0.6667, 0.2500) (multiplicity 2)  6 Te 3.09
Te (0.1669, 0.3339, 0.7500) (multiplicity 6)  4 Te 3.09-3.10, 2 Li 3.09

Summary:
Calculated density (g/cm³): 5.076
Energy of formation (eV/atom): -0.450
M_tot (μB/atom): 0.000
Energy (eV per atom): -2.968
E above lowest polymorph (meV/atom): 247

=====

[2]
# LiTl

A relaxed LiTl crystal (PBE-GGA, the Materials Project database).

Cell lengths 12.6990, 10.6913, 8.1330 Å; angles 90.00, 90.00, 90.00 degrees
Closest atoms and distances in Å follow each position.
Space group Cmce (No. 64)
Symmetry-distinct sites (fractional):
Li (0.0000, 0.1810, 0.1069) (multiplicity 8)  7 Tl 2.84-3.08, 2 Li 2.91
Li (0.1566, 0.0000, 0.0000) (multiplicity 8)  4 Li 2.87-2.91, 4 Tl 2.92-3.09
Li (0.2500, 0.1539, 0.7500) (multiplicity 8)  4 Tl 2.86-3.08, 2 Li 2.87
Tl (0.0000, 0.0803, 0.7598) (multiplicity 8)  5 Li 2.84-3.02
Tl (0.1417, 0.1462, 0.4107) (multiplicity 16)  5 Li 2.86-3.09

Summary:
Calculated density (g/cm³): 7.627
Energy of formation (eV/atom): -0.139
M_tot (μB/atom): 0.000
Energy (eV per atom): -2.275

=====

[3]
# LiTl

A relaxed LiTl crystal (PBE-GGA, the Materials Project database).

Cell lengths 5.1833, 5.1833, 8.6726 Å; angles 90.00, 90.00, 120.00 degrees
Closest atoms and distances in Å follow each position.
Space group P6_3/mmc (No. 194)
Symmetry-distinct sites (fractional):
Li (0.3333, 0.6667, 0.0825) (multiplicity 4)  1 Tl 2.88, 1 Li 2.91
Tl (0.0000, 0.0000, 0.2500) (multiplicity 2)  3 Tl 2.99, 6 Li 3.33
Tl (0.3333, 0.6667, 0.7500) (multiplicity 2)  2 Li 2.88, 3 Tl 2.99

Summary:
Calculated density (g/cm³): 6.956
Energy of formation (eV/atom): -0.053
M_tot (μB/atom): 0.000
Energy (eV per atom): -2.189

=====

[4]
# Li2Tl

A relaxed Li2Tl crystal (PBE-GGA, the Materials Project database).

Cell lengths 4.7008, 10.1474, 4.8639 Å; angles 90.00, 90.00, 90.00 degrees
Closest atoms and distances in Å follow each position.
Space group Cmcm (No. 63)
Symmetry-distinct sites (fractional):
Li (0.0000, 0.0853, 0.2500) (multiplicity 4)  6 Li 2.83-3.00, 2 Tl 2.99
Li (0.0000, 0.2591, 0.7500) (multiplicity 4)  4 Li 2.83-3.00, 4 Tl 2.84-2.87
Tl (0.0000, 0.4030, 0.2500) (multiplicity 4)  6 Li 2.84-2.99, 2 Tl 3.13

Summary:
Calculated density (g/cm³): 6.249
Energy of formation (eV/atom): -0.236
Energy (eV per atom): -2.296

=====

[5]
# LiTl

A relaxed LiTl crystal (PBE-GGA, the Materials Project database).

Cell lengths 3.4770, 3.4770, 3.4770 Å; angles 90.00, 90.00, 90.00 degrees
Closest atoms and distances in Å follow each position.
Space group Pm-3m (No. 221)
Symmetry-distinct sites (fractional):
Li (0.0000, 0.0000, 0.0000) (multiplicity 1)  8 Tl 3.01
Tl (0.5000, 0.5000, 0.5000) (multiplicity 1)  8 Li 3.01

Summary:
Calculated density (g/cm³): 8.348
Energy of formation (eV/atom): -0.230
Energy (eV per atom): -2.365

=====

[6]
# LiTl

A relaxed LiTl crystal (PBE-GGA, the Materials Project database).

Cell lengths 11.8816, 11.1657, 8.1709 Å; angles 90.00, 90.00, 90.00 degrees
Closest atoms and distances in Å follow each position.
Space group Cmce (No. 64)
Symmetry-distinct sites (fractional):
Li (0.0000, 0.1826, 0.1060) (multiplicity 8)  6 Tl 2.85-3.11, 2 Li 2.89
Li (0.1560, 0.0000, 0.0000) (multiplicity 8)  4 Li 2.87-2.89, 4 Tl 2.87-2.90
Li (0.2500, 0.1496, 0.7500) (multiplicity 8)  2 Li 2.87, 6 Tl 2.92-3.05
Tl (0.0000, 0.0884, 0.7604) (multiplicity 8)  6 Li 2.85-3.05
Tl (0.1494, 0.1413, 0.4070) (multiplicity 16)  5 Li 2.90-3.11

Summary:
Calculated density (g/cm³): 7.769
Energy of formation (eV/atom): -0.151
M_tot (μB/atom): 0.000
Energy (eV per atom): -2.286

=====

[7]
# LiTmTl2

A relaxed LiTmTl2 crystal (PBE-GGA, the Materials Project database).

Cell lengths 7.3037, 7.3037, 7.3037 Å; angles 90.00, 90.00, 90.00 degrees
Closest atoms and distances in Å follow each position.
Space group Fm-3m (No. 225)
Symmetry-distinct sites (fractional):
Li (0.0000, 0.0000, 0.0000) (multiplicity 4)  8 Tl 3.16
Tm (0.0000, 0.0000, 0.5000) (multiplicity 4)  8 Tl 3.16
Tl (0.2500, 0.2500, 0.2500) (multiplicity 8)  4 Li 3.16, 4 Tm 3.16

Summary:
Calculated density (g/cm³): 9.967
Energy of formation (eV/atom): -0.298
Energy (eV per atom): -3.075

=====

[8]
# LiY2Tl

A relaxed LiY2Tl crystal (PBE-GGA, the Materials Project database).

Cell lengths 7.4953, 7.4953, 7.4953 Å; angles 90.00, 90.00, 90.00 degrees
Closest atoms and distances in Å follow each position.
Space group Fm-3m (No. 225)
Symmetry-distinct sites (fractional):
Li (0.0000, 0.0000, 0.0000) (multiplicity 4)  8 Y 3.25
Y (0.2500, 0.2500, 0.2500) (multiplicity 8)  4 Li 3.25, 4 Tl 3.25
Tl (0.0000, 0.0000, 0.5000) (multiplicity 4)  8 Y 3.25

Summary:
Calculated density (g/cm³): 6.138
Energy of formation (eV/atom): -0.235
Energy (eV per atom): -4.536
E above lowest polymorph (meV/atom): 0